(1)
This record from the Materials Project describes a geometry-optimized PuB4Ru structure. The functional is PBE-GGA.

CIF file:
```
data_PuB4Ru
_chemical_formula_sum 'Pu2 B8 Ru2'
_cell_length_a 5.982
_cell_length_b 5.982
_cell_length_c 3.527
_cell_angle_alpha 90.00
_cell_angle_beta 90.00
_cell_angle_gamma 104.04
_symmetry_space_group_name_H-M 'P 1'
_symmetry_Int_Tables_number 1
loop_
_symmetry_equiv_pos_as_xyz
'x,y,z'
loop_
_atom_site_label
_atom_site_type_symbol
_atom_site_fract_x
_atom_site_fract_y
_atom_site_fract_z
Pu1 Pu 0.200 0.800 0.000
Pu2 Pu 0.800 0.200 0.000
B1 B 0.119 0.435 0.500
B2 B 0.123 0.123 0.500
B3 B 0.408 0.592 0.500
B4 B 0.435 0.119 0.500
B5 B 0.565 0.881 0.500
B6 B 0.592 0.408 0.500
B7 B 0.877 0.877 0.500
B8 B 0.881 0.565 0.500
Ru1 Ru 0.317 0.317 0.000
Ru2 Ru 0.683 0.683 0.000
```

Output
ΔE_f ... -0.54 eV/atom
SG ... Cmmm, No. 65
Mass density ... 10.53 g/cm³

(2)
This record from the Materials Project describes a geometry-optimized PuB4Ru structure. The functional is PBE-GGA.

CIF file:
```
data_PuB4Ru
_chemical_formula_sum 'Pu4 B16 Ru4'
_cell_length_a 5.982
_cell_length_b 11.588
_cell_length_c 3.526
_cell_angle_alpha 90.00
_cell_angle_beta 90.00
_cell_angle_gamma 90.00
_symmetry_space_group_name_H-M 'P 1'
_symmetry_Int_Tables_number 1
loop_
_symmetry_equiv_pos_as_xyz
'x,y,z'
loop_
_atom_site_label
_atom_site_type_symbol
_atom_site_fract_x
_atom_site_fract_y
_atom_site_fract_z
Pu1 Pu 0.127 0.150 0.000
Pu2 Pu 0.373 0.650 0.000
Pu3 Pu 0.627 0.350 0.000
Pu4 Pu 0.873 0.850 0.000
B1 B 0.028 0.691 0.500
B2 B 0.115 0.546 0.500
B3 B 0.135 0.968 0.500
B4 B 0.215 0.813 0.500
B5 B 0.285 0.313 0.500
B6 B 0.365 0.468 0.500
B7 B 0.385 0.046 0.500
B8 B 0.472 0.191 0.500
B9 B 0.528 0.809 0.500
B10 B 0.615 0.954 0.500
B11 B 0.635 0.532 0.500
B12 B 0.715 0.687 0.500
B13 B 0.785 0.187 0.500
B14 B 0.865 0.032 0.500
B15 B 0.885 0.454 0.500
B16 B 0.972 0.309 0.500
Ru1 Ru 0.137 0.408 0.000
Ru2 Ru 0.363 0.908 0.000
Ru3 Ru 0.637 0.092 0.000
Ru4 Ru 0.863 0.592 0.000
```

Output
ΔE_f ... -0.54 eV/atom
SG ... Pbam, No. 55
Mass density ... 10.55 g/cm³
Magnetization ... 4.661 μB per formula unit

(3)
This record from the Materials Project describes a geometry-optimized PuB2Ru structure. The functional is PBE-GGA.

CIF file:
```
data_PuB2Ru
_chemical_formula_sum 'Pu4 B8 Ru4'
_cell_length_a 5.756
_cell_length_b 5.385
_cell_length_c 6.430
_cell_angle_alpha 90.00
_cell_angle_beta 90.00
_cell_angle_gamma 90.00
_symmetry_space_group_name_H-M 'P 1'
_symmetry_Int_Tables_number 1
loop_
_symmetry_equiv_pos_as_xyz
'x,y,z'
loop_
_atom_site_label
_atom_site_type_symbol
_atom_site_fract_x
_atom_site_fract_y
_atom_site_fract_z
Pu1 Pu 0.001 0.250 0.163
Pu2 Pu 0.499 0.750 0.663
Pu3 Pu 0.501 0.250 0.337
Pu4 Pu 0.999 0.750 0.837
B1 B 0.129 0.087 0.537
B2 B 0.129 0.413 0.537
B3 B 0.371 0.587 0.037
B4 B 0.371 0.913 0.037
B5 B 0.629 0.087 0.963
B6 B 0.629 0.413 0.963
B7 B 0.871 0.587 0.463
B8 B 0.871 0.913 0.463
Ru1 Ru 0.193 0.750 0.316
Ru2 Ru 0.307 0.250 0.816
Ru3 Ru 0.693 0.750 0.184
Ru4 Ru 0.807 0.250 0.684
```

Output
ΔE_f ... -0.47 eV/atom
SG ... Pnma, No. 62
Mass density ... 12.22 g/cm³

> Which value of mass density does entry 1 give?

10.53 g/cm³

Copy entry 3 word for word.
This record from the Materials Project describes a geometry-optimized PuB2Ru structure. The functional is PBE-GGA.

CIF file:
```
data_PuB2Ru
_chemical_formula_sum 'Pu4 B8 Ru4'
_cell_length_a 5.756
_cell_length_b 5.385
_cell_length_c 6.430
_cell_angle_alpha 90.00
_cell_angle_beta 90.00
_cell_angle_gamma 90.00
_symmetry_space_group_name_H-M 'P 1'
_symmetry_Int_Tables_number 1
loop_
_symmetry_equiv_pos_as_xyz
'x,y,z'
loop_
_atom_site_label
_atom_site_type_symbol
_atom_site_fract_x
_atom_site_fract_y
_atom_site_fract_z
Pu1 Pu 0.001 0.250 0.163
Pu2 Pu 0.499 0.750 0.663
Pu3 Pu 0.501 0.250 0.337
Pu4 Pu 0.999 0.750 0.837
B1 B 0.129 0.087 0.537
B2 B 0.129 0.413 0.537
B3 B 0.371 0.587 0.037
B4 B 0.371 0.913 0.037
B5 B 0.629 0.087 0.963
B6 B 0.629 0.413 0.963
B7 B 0.871 0.587 0.463
B8 B 0.871 0.913 0.463
Ru1 Ru 0.193 0.750 0.316
Ru2 Ru 0.307 0.250 0.816
Ru3 Ru 0.693 0.750 0.184
Ru4 Ru 0.807 0.250 0.684
```

Output
ΔE_f ... -0.47 eV/atom
SG ... Pnma, No. 62
Mass density ... 12.22 g/cm³

> Which value of ΔE_f does entry 1 give?

-0.54 eV/atom